Record 1
Density functional theory data (GGA+U) for a relaxed structure of Ho2WO6.

## Properties
Space group   P2/c
DFT total energy   -8.13 eV/atom
E above lowest polymorph   0.000 eV per atom
Calculated formation energy   -320.4 kJ per mole of atoms

Cell lengths 5.381, 7.682, 11.458 Å; angles 75.36, 90.00, 90.00 degrees
Atoms (fractional coordinates):
Ho 0.189 0.798 0.578
O 0.853 0.633 0.549
O 0.536 0.786 0.229
O 0.015 0.291 0.229
O 0.036 0.938 0.896
O 0.475 0.853 0.431
O 0.985 0.291 0.729
O 0.985 0.709 0.771
O 0.525 0.853 0.931
O 0.536 0.214 0.271
W 0.253 0.721 0.887
Ho 0.811 0.202 0.422
O 0.637 0.513 0.111
Ho 0.683 0.500 0.750
W 0.253 0.279 0.613
O 0.147 0.633 0.049
O 0.964 0.062 0.104
W 0.747 0.279 0.113
O 0.363 0.487 0.889
O 0.853 0.367 0.951
O 0.637 0.487 0.389
Ho 0.811 0.798 0.078
O 0.475 0.147 0.069
O 0.525 0.147 0.569
Ho 0.737 0.000 0.750
O 0.036 0.062 0.604
Ho 0.189 0.202 0.922
W 0.747 0.721 0.387
O 0.363 0.513 0.611
O 0.964 0.938 0.396
Ho 0.317 0.500 0.250
O 0.147 0.367 0.451
O 0.464 0.214 0.771
O 0.464 0.786 0.729
O 0.015 0.709 0.271
Ho 0.263 0.000 0.250

Record 2
Density functional theory data (GGA+U) for a relaxed structure of Li4Ti3V3Fe2O16.

## Properties
Space group   P1
DFT total energy   -7.44 eV/atom
E above lowest polymorph   0.000 eV per atom
Calculated formation energy   -256.1 kJ per mole of atoms

Cell lengths 5.910, 5.943, 9.635 Å; angles 90.02, 90.30, 119.69 degrees
Atoms (fractional coordinates):
Ti 0.170 0.342 0.722
Li 0.997 0.996 0.994
V 0.830 0.660 0.211
Li 0.333 0.665 0.394
O 0.163 0.327 0.102
O 0.469 0.962 0.836
O 0.655 0.311 0.102
O 0.332 0.164 0.603
Li 0.668 0.337 0.894
O 0.848 0.679 0.604
O 0.514 0.473 0.339
Fe 0.334 0.670 0.993
V 0.181 0.837 0.711
O 0.011 0.007 0.809
Fe 0.671 0.337 0.493
O 0.038 0.517 0.837
O 0.835 0.165 0.602
O 0.314 0.648 0.599
O 0.479 0.519 0.838
V 0.659 0.833 0.709
O 0.520 0.038 0.335
Ti 0.833 0.174 0.217
Ti 0.341 0.173 0.216
Li 0.002 0.005 0.497
O 0.961 0.473 0.338
O 0.672 0.839 0.101
O 0.165 0.838 0.102
O 0.006 0.010 0.311

Record 3
Density functional theory data (GGA+U) for a relaxed structure of Na5Co2O5.

## Properties
Space group   C2/c
DFT total energy   -4.76 eV/atom
Calculated formation energy   -147.2 kJ per mole of atoms

Cell lengths 8.555, 8.555, 11.500 Å; angles 77.10, 77.10, 57.05 degrees
Atoms (fractional coordinates):
Co 0.816 0.085 0.557
Na 0.329 0.000 0.960
O 0.677 0.316 0.910
Co 0.614 0.856 0.732
Co 0.184 0.915 0.443
O 0.043 0.307 0.929
Na 0.566 0.222 0.788
Na 0.403 0.621 0.877
Na 0.011 0.202 0.190
O 0.648 0.905 0.866
O 0.095 0.352 0.634
Na 0.000 0.671 0.540
O 0.897 0.060 0.108
Na 0.222 0.566 0.288
O 0.264 0.485 0.807
Co 0.085 0.816 0.057
O 0.515 0.736 0.693
Na 0.379 0.597 0.623
O 0.307 0.043 0.429
Co 0.856 0.614 0.232
Na 0.798 0.989 0.310
Na 0.989 0.798 0.810
Na 0.621 0.403 0.377
O 0.684 0.323 0.590
Na 0.000 0.329 0.460
O 0.060 0.897 0.608
O 0.485 0.264 0.307
O 0.905 0.648 0.366
O 0.352 0.095 0.134
Na 0.434 0.778 0.212
O 0.940 0.103 0.392
Na 0.202 0.011 0.690
Na 0.671 0.000 0.040
Co 0.386 0.144 0.268
O 0.316 0.677 0.410
Na 0.778 0.434 0.712
O 0.323 0.684 0.090
O 0.736 0.515 0.193
Na 0.397 0.206 0.517
Na 0.603 0.794 0.483
O 0.693 0.957 0.571
Na 0.794 0.603 0.983
Co 0.144 0.386 0.768
Na 0.597 0.379 0.123
Co 0.915 0.184 0.943
Na 0.206 0.397 0.017
O 0.957 0.693 0.071
O 0.103 0.940 0.892

Record 4
Density functional theory data (GGA+U) for a relaxed structure of AlCr4Cu3O12.

## Properties
Space group   Im-3
DFT total energy   -6.60 eV/atom
Calculated formation energy   -165.4 kJ per mole of atoms

Cell lengths 6.347, 6.347, 6.347 Å; angles 109.47, 109.47, 109.47 degrees
Atoms (fractional coordinates):
O 0.467 0.164 0.303
Cr 0.000 0.500 0.000
O 0.697 0.533 0.836
Cu 0.500 0.500 0.000
Cu 0.500 0.000 0.500
O 0.861 0.164 0.697
O 0.303 0.467 0.164
Cr 0.000 0.000 0.500
Cr 0.500 0.000 0.000
Cr 0.500 0.500 0.500
O 0.164 0.697 0.861
O 0.697 0.861 0.164
O 0.533 0.836 0.697
O 0.303 0.139 0.836
O 0.139 0.836 0.303
Cu 0.000 0.500 0.500
O 0.836 0.697 0.533
Al 0.000 0.000 0.000
O 0.836 0.303 0.139
O 0.164 0.303 0.467

Record 5
Density functional theory data (GGA+U) for a relaxed structure of KAlCo3Si3H2O12.

## Properties
Space group   P1
DFT total energy   -6.78 eV/atom
Calculated formation energy   -235.1 kJ per mole of atoms

Cell lengths 5.371, 5.374, 10.571 Å; angles 99.68, 85.38, 119.92 degrees
Atoms (fractional coordinates):
H 0.004 0.891 0.694
O 0.999 0.464 0.827
Co 0.664 0.829 0.496
Si 0.666 0.253 0.768
Co 0.001 0.503 0.496
Si 0.332 0.589 0.768
K 0.000 0.006 0.020
O 0.012 0.502 0.170
O 0.434 0.044 0.169
Al 0.666 0.410 0.230
Si 0.334 0.742 0.225
O 0.477 0.419 0.825
O 0.665 0.198 0.613
Co 0.337 0.166 0.495
O 0.664 0.465 0.399
H 0.000 0.113 0.308
O 0.554 0.622 0.169
O 0.329 0.539 0.613
O 0.005 0.870 0.602
O 0.522 0.941 0.827
O 0.000 0.138 0.401
O 0.336 0.796 0.385

Record 6
Density functional theory data (GGA+U) for a relaxed structure of FeCuH4S2O13.

## Properties
Space group   P2_1/m
DFT total energy   -5.35 eV/atom
Calculated formation energy   -114.0 kJ per mole of atoms

Cell lengths 7.228, 7.430, 10.081 Å; angles 74.14, 90.00, 90.00 degrees
Atoms (fractional coordinates):
O 0.080 0.103 0.798
Cu 0.250 0.396 0.348
O 0.503 0.374 0.360
O 0.919 0.760 0.957
O 0.750 0.695 0.392
H 0.750 0.250 0.950
Fe 0.500 0.000 0.000
O 0.250 0.480 0.871
O 0.250 0.485 0.108
H 0.250 0.074 0.447
O 0.250 0.629 0.356
O 0.750 0.115 0.957
O 0.250 0.151 0.348
O 0.750 0.849 0.652
O 0.081 0.240 0.043
O 0.419 0.240 0.043
O 0.420 0.103 0.798
O 0.250 0.885 0.043
O 0.750 0.022 0.368
S 0.250 0.361 0.014
H 0.750 0.926 0.553
Cu 0.750 0.604 0.652
Fe 0.000 0.000 0.000
O 0.920 0.897 0.202
H 0.556 0.425 0.266
H 0.250 0.750 0.050
O 0.250 0.978 0.632
O 0.750 0.515 0.892
S 0.250 0.118 0.711
O 0.750 0.520 0.129
O 0.997 0.374 0.360
H 0.056 0.575 0.734
H 0.444 0.575 0.734
O 0.750 0.371 0.644
O 0.003 0.626 0.640
O 0.497 0.626 0.640
O 0.581 0.760 0.957
H 0.944 0.425 0.266
O 0.250 0.305 0.608
S 0.750 0.882 0.289
O 0.580 0.897 0.202
S 0.750 0.639 0.986

Record 7
Density functional theory data (GGA+U) for a relaxed structure of Li4Ti3Ni3Sn2O16.

## Properties
Space group   P1
DFT total energy   -6.53 eV/atom
Calculated formation energy   -225.9 kJ per mole of atoms

Cell lengths 5.919, 5.955, 9.758 Å; angles 89.60, 89.49, 60.31 degrees
Atoms (fractional coordinates):
O 0.533 0.962 0.343
Li 0.667 0.668 0.893
Li 0.335 0.328 0.399
O 0.504 0.034 0.844
O 0.668 0.168 0.103
Sn 0.320 0.340 0.988
O 0.313 0.844 0.604
O 0.529 0.504 0.342
Sn 0.659 0.670 0.494
Ni 0.171 0.169 0.711
Li 0.003 0.000 0.494
O 0.472 0.493 0.834
Ni 0.171 0.659 0.715
O 0.988 0.006 0.307
O 0.845 0.833 0.606
O 0.150 0.173 0.101
Ti 0.830 0.830 0.214
O 0.344 0.307 0.607
O 0.036 0.481 0.829
O 0.996 0.025 0.807
Ni 0.343 0.829 0.213
O 0.691 0.655 0.103
Li 0.013 0.997 0.993
Ti 0.824 0.340 0.216
Ti 0.661 0.163 0.715
O 0.150 0.680 0.099
O 0.820 0.325 0.598
O 0.967 0.517 0.335

Record 8
Density functional theory data (GGA+U) for a relaxed structure of La6Sm2Cr3Fe5O24.

## Properties
Space group   Pm
DFT total energy   -7.73 eV/atom
Calculated formation energy   -274.3 kJ per mole of atoms

Cell lengths 7.875, 7.874, 7.875 Å; angles 89.99, 90.00, 90.00 degrees
Atoms (fractional coordinates):
O 0.751 0.501 0.499
O 0.500 0.998 0.250
Fe 0.500 0.999 0.499
Sm 0.250 0.749 0.250
O 0.500 0.749 0.498
O 0.500 0.502 0.249
O 0.000 0.998 0.250
O 0.250 0.501 0.001
Cr 0.000 0.501 0.499
Cr 0.500 0.500 0.001
O 0.500 0.000 0.750
O 0.500 0.251 0.000
Fe 0.500 0.999 0.001
Fe 0.500 0.501 0.499
Sm 0.750 0.749 0.250
La 0.750 0.749 0.750
O 0.000 0.503 0.250
O 0.000 0.749 0.002
Fe 0.000 0.999 0.499
O 0.500 0.500 0.751
O 0.000 0.500 0.750
La 0.250 0.251 0.250
O 0.750 0.999 0.001
O 0.000 0.251 0.000
O 0.000 0.000 0.750
O 0.000 0.251 0.500
O 0.500 0.251 0.500
La 0.250 0.749 0.750
La 0.750 0.251 0.750
O 0.500 0.749 0.002
O 0.750 0.501 0.001
O 0.250 0.999 0.499
O 0.750 0.999 0.499
La 0.250 0.251 0.750
La 0.750 0.251 0.250
O 0.000 0.749 0.498
O 0.249 0.501 0.499
Fe 0.000 0.999 0.001
O 0.250 0.999 0.001
Cr 0.000 0.501 0.001

The highest DFT total energy belongs to which entry?
Na5Co2O5

Look up the calculated formation energy of the first one.
-320.4 kJ per mole of atoms